{"formula": "Cs4MgTi2Ag4S8", "functional": "PBE-GGA", "state": "optimized geometry", "de_polymorph_ev_per_atom": 0.113, "formation_energy_ev_per_atom": -1.008, "space_group": "No. 6", "lattice": [[6.2577, 0.0000, 0.0000], [0.0000, 14.0421, 0.0000], [-0.4284, 0.0000, 6.4117]], "species": ["Cs", "Cs", "Cs", "Cs", "Mg", "Ti", "Ti", "Ag", "Ag", "Ag", "Ag", "S", "S", "S", "S", "S", "S", "S", "S"], "fractional_positions": [[0.0000, 0.0000, 0.0000], [0.0491, 0.5000, 0.4365], [0.5744, 0.5000, 0.9159], [0.6624, 0.0000, 0.4187], [0.2015, 0.0000, 0.5589], [0.3113, 0.2555, 0.1722], [0.3113, 0.7445, 0.1722], [0.3180, 0.2527, 0.6825], [0.3180, 0.7472, 0.6825], [0.8043, 0.2581, 0.1630], [0.8043, 0.7419, 0.1630], [0.0949, 0.3492, 0.9535], [0.0949, 0.6508, 0.9535], [0.1012, 0.1618, 0.3818], [0.1012, 0.8382, 0.3818], [0.5069, 0.1515, 0.9778], [0.5069, 0.8485, 0.9778], [0.5306, 0.3473, 0.3917], [0.5306, 0.6527, 0.3917]]}